The following is a PBE-GGA calculation of crystalline Na14Zr4Ga4Si9S3O48 at its relaxed geometry, from Materials Project.

Formation energy from the elements, eV/atom: -2.722
Final energy, eV/atom: -6.7533

The structure in CIF format:
```
data_Na14Zr4Ga4Si9S3O48
_chemical_formula_sum 'Na42 Zr12 Ga12 Si27 S9 O144'
_symmetry_space_group_name_H-M 'P 1'
_symmetry_Int_Tables_number 1
_cell_length_a 9.082
_cell_length_b 15.721
_cell_length_c 22.538
_cell_angle_alpha 90.43
_cell_angle_beta 90.22
_cell_angle_gamma 90.02
loop_
_symmetry_equiv_pos_as_xyz
'x,y,z'
loop_
_atom_site_label
_atom_site_type_symbol
_atom_site_fract_x
_atom_site_fract_y
_atom_site_fract_z
Na1 Na 0.000 0.000 0.000
Na2 Na 0.001 0.343 0.343
Na3 Na 0.033 0.356 0.667
Na4 Na 0.047 0.695 0.006
Na5 Na 0.053 0.023 0.341
Na6 Na 0.173 0.186 0.753
Na7 Na 0.175 0.527 0.584
Na8 Na 0.176 0.865 0.420
Na9 Na 0.183 0.187 0.258
Na10 Na 0.183 0.861 0.920
Na11 Na 0.184 0.531 0.084
Na12 Na 0.306 0.017 0.837
Na13 Na 0.322 0.688 0.506
Na14 Na 0.324 0.358 0.171
Na15 Na 0.358 0.039 0.172
Na16 Na 0.361 0.343 0.838
Na17 Na 0.362 0.010 0.503
Na18 Na 0.369 0.373 0.502
Na19 Na 0.374 0.711 0.834
Na20 Na 0.483 0.208 0.338
Na21 Na 0.491 0.873 0.999
Na22 Na 0.497 0.515 0.000
Na23 Na 0.499 0.844 0.340
Na24 Na 0.502 0.542 0.670
Na25 Na 0.538 0.186 0.001
Na26 Na 0.544 0.858 0.671
Na27 Na 0.553 0.521 0.342
Na28 Na 0.676 0.360 0.425
Na29 Na 0.680 0.026 0.588
Na30 Na 0.681 0.692 0.754
Na31 Na 0.684 0.026 0.083
Na32 Na 0.686 0.364 0.915
Na33 Na 0.686 0.688 0.254
Na34 Na 0.806 0.523 0.838
Na35 Na 0.812 0.194 0.509
Na36 Na 0.826 0.856 0.167
Na37 Na 0.858 0.501 0.503
Na38 Na 0.859 0.547 0.172
Na39 Na 0.861 0.844 0.835
Na40 Na 0.869 0.206 0.830
Na41 Na 0.988 0.708 0.333
Na42 Na 0.997 0.040 0.671
Zr1 Zr 0.177 0.188 0.604
Zr2 Zr 0.178 0.524 0.734
Zr3 Zr 0.178 0.528 0.235
Zr4 Zr 0.180 0.861 0.569
Zr5 Zr 0.181 0.515 0.940
Zr6 Zr 0.193 0.186 0.105
Zr7 Zr 0.668 0.360 0.065
Zr8 Zr 0.673 0.692 0.609
Zr9 Zr 0.677 0.014 0.442
Zr10 Zr 0.681 0.023 0.234
Zr11 Zr 0.681 0.689 0.103
Zr12 Zr 0.688 0.023 0.732
Ga1 Ga 0.154 0.868 0.270
Ga2 Ga 0.161 0.854 0.063
Ga3 Ga 0.180 0.187 0.902
Ga4 Ga 0.182 0.504 0.437
Ga5 Ga 0.186 0.865 0.766
Ga6 Ga 0.196 0.193 0.409
Ga7 Ga 0.653 0.368 0.273
Ga8 Ga 0.662 0.694 0.907
Ga9 Ga 0.678 0.003 0.935
Ga10 Ga 0.683 0.687 0.405
Ga11 Ga 0.698 0.355 0.563
Ga12 Ga 0.704 0.367 0.769
Si1 Si 0.031 0.371 0.836
Si2 Si 0.035 0.001 0.167
Si3 Si 0.035 0.045 0.498
Si4 Si 0.035 0.336 0.500
Si5 Si 0.042 0.717 0.170
Si6 Si 0.317 0.712 0.671
Si7 Si 0.320 0.332 0.001
Si8 Si 0.324 0.373 0.336
Si9 Si 0.327 0.007 0.672
Si10 Si 0.333 0.042 0.999
Si11 Si 0.375 0.022 0.335
Si12 Si 0.382 0.695 0.003
Si13 Si 0.477 0.195 0.503
Si14 Si 0.484 0.523 0.835
Si15 Si 0.528 0.544 0.500
Si16 Si 0.528 0.873 0.836
Si17 Si 0.532 0.507 0.172
Si18 Si 0.533 0.831 0.500
Si19 Si 0.542 0.213 0.172
Si20 Si 0.817 0.217 0.670
Si21 Si 0.823 0.500 0.667
Si22 Si 0.824 0.837 0.000
Si23 Si 0.826 0.546 0.999
Si24 Si 0.828 0.871 0.336
Si25 Si 0.883 0.523 0.339
Si26 Si 0.896 0.854 0.674
Si27 Si 0.976 0.025 0.841
S1 S 0.032 0.672 0.838
S2 S 0.326 0.672 0.339
S3 S 0.394 0.356 0.671
S4 S 0.465 0.856 0.171
S5 S 0.533 0.171 0.839
S6 S 0.827 0.173 0.336
S7 S 0.888 0.191 0.001
S8 S 0.967 0.356 0.172
S9 S 0.972 0.690 0.500
O1 O 0.001 0.209 0.667
O2 O 0.003 0.847 0.005
O3 O 0.004 0.505 0.675
O4 O 0.004 0.542 0.996
O5 O 0.008 0.863 0.332
O6 O 0.055 0.439 0.890
O7 O 0.059 0.102 0.559
O8 O 0.061 0.276 0.442
O9 O 0.061 0.615 0.785
O10 O 0.062 0.435 0.175
O11 O 0.064 0.942 0.109
O12 O 0.067 0.613 0.495
O13 O 0.068 0.282 0.165
O14 O 0.068 0.765 0.505
O15 O 0.072 0.773 0.230
O16 O 0.074 0.938 0.834
O17 O 0.081 0.111 0.846
O18 O 0.099 0.631 0.890
O19 O 0.101 0.617 0.175
O20 O 0.102 0.755 0.832
O21 O 0.108 0.433 0.498
O22 O 0.108 0.757 0.110
O23 O 0.109 0.097 0.163
O24 O 0.109 0.416 0.778
O25 O 0.112 0.090 0.441
O26 O 0.112 0.279 0.845
O27 O 0.113 0.298 0.560
O28 O 0.115 0.967 0.228
O29 O 0.116 0.952 0.504
O30 O 0.243 0.099 0.667
O31 O 0.243 0.281 0.342
O32 O 0.246 0.088 0.944
O33 O 0.247 0.966 0.730
O34 O 0.251 0.420 0.278
O35 O 0.253 0.293 0.062
O36 O 0.253 0.752 0.610
O37 O 0.256 0.613 0.675
O38 O 0.257 0.949 0.009
O39 O 0.258 0.633 0.391
O40 O 0.261 0.757 0.331
O41 O 0.262 0.430 0.999
O42 O 0.273 0.108 0.341
O43 O 0.279 0.610 0.996
O44 O 0.282 0.781 0.011
O45 O 0.282 0.932 0.327
O46 O 0.291 0.283 0.666
O47 O 0.293 0.772 0.730
O48 O 0.295 0.271 0.943
O49 O 0.297 0.435 0.675
O50 O 0.299 0.616 0.285
O51 O 0.303 0.948 0.612
O52 O 0.308 0.103 0.059
O53 O 0.310 0.438 0.393
O54 O 0.345 0.539 0.492
O55 O 0.348 0.863 0.830
O56 O 0.352 0.507 0.176
O57 O 0.352 0.840 0.503
O58 O 0.358 0.207 0.168
O59 O 0.366 0.173 0.557
O60 O 0.369 0.178 0.842
O61 O 0.373 0.540 0.779
O62 O 0.376 0.506 0.893
O63 O 0.378 0.846 0.225
O64 O 0.378 0.870 0.117
O65 O 0.381 0.214 0.442
O66 O 0.479 0.712 0.944
O67 O 0.481 0.371 0.617
O68 O 0.482 0.346 0.725
O69 O 0.484 0.006 0.392
O70 O 0.485 0.040 0.278
O71 O 0.490 0.678 0.341
O72 O 0.492 0.672 0.058
O73 O 0.499 0.703 0.667
O74 O 0.503 0.339 0.005
O75 O 0.505 0.011 0.677
O76 O 0.506 0.364 0.332
O77 O 0.515 0.039 0.993
O78 O 0.544 0.936 0.895
O79 O 0.554 0.604 0.558
O80 O 0.560 0.116 0.786
O81 O 0.560 0.446 0.113
O82 O 0.563 0.773 0.441
O83 O 0.563 0.935 0.175
O84 O 0.568 0.783 0.166
O85 O 0.571 0.274 0.230
O86 O 0.577 0.281 0.510
O87 O 0.578 0.432 0.828
O88 O 0.580 0.110 0.495
O89 O 0.586 0.608 0.842
O90 O 0.597 0.257 0.832
O91 O 0.597 0.929 0.499
O92 O 0.599 0.114 0.175
O93 O 0.600 0.133 0.892
O94 O 0.602 0.449 0.508
O95 O 0.604 0.791 0.560
O96 O 0.607 0.254 0.111
O97 O 0.609 0.920 0.780
O98 O 0.612 0.586 0.442
O99 O 0.613 0.598 0.167
O100 O 0.614 0.464 0.229
O101 O 0.614 0.781 0.843
O102 O 0.744 0.589 0.942
O103 O 0.745 0.465 0.728
O104 O 0.747 0.798 0.061
O105 O 0.748 0.451 0.007
O106 O 0.748 0.593 0.662
O107 O 0.749 0.778 0.344
O108 O 0.750 0.933 0.998
O109 O 0.751 0.915 0.277
O110 O 0.752 0.258 0.609
O111 O 0.757 0.119 0.675
O112 O 0.758 0.135 0.389
O113 O 0.760 0.258 0.329
O114 O 0.778 0.608 0.344
O115 O 0.782 0.774 0.667
O116 O 0.786 0.434 0.330
O117 O 0.791 0.274 0.730
O118 O 0.791 0.941 0.676
O119 O 0.792 0.267 0.008
O120 O 0.793 0.115 0.997
O121 O 0.797 0.116 0.284
O122 O 0.797 0.440 0.609
O123 O 0.798 0.774 0.943
O124 O 0.801 0.601 0.061
O125 O 0.805 0.940 0.390
O126 O 0.851 0.363 0.832
O127 O 0.855 0.006 0.175
O128 O 0.856 0.043 0.495
O129 O 0.856 0.346 0.504
O130 O 0.858 0.708 0.167
O131 O 0.865 0.011 0.898
O132 O 0.871 0.678 0.841
O133 O 0.874 0.046 0.782
O134 O 0.875 0.369 0.118
O135 O 0.878 0.676 0.553
O136 O 0.880 0.345 0.226
O137 O 0.883 0.703 0.446
O138 O 0.977 0.204 0.947
O139 O 0.984 0.178 0.054
O140 O 0.985 0.542 0.280
O141 O 0.988 0.180 0.339
O142 O 0.994 0.842 0.734
O143 O 0.996 0.508 0.396
O144 O 0.996 0.873 0.616
```